# 1
## LiNiP4O12 (PBE+U)

Data for a relaxed LiNiP4O12 crystal.

Computed properties:
* SG: No. 15

Unit cell a=7.362 b=7.362 c=9.892 alpha=67.19 beta=67.19 gamma=69.93
Sites, in units of the cell vectors:
Li (0.056, 0.944, 0.750)
Li (0.944, 0.056, 0.250)
Ni (0.000, 0.500, 0.000)
Ni (0.500, 0.000, 0.500)
P (0.690, 0.697, 0.803)
P (0.739, 0.274, 0.525)
P (0.697, 0.690, 0.303)
P (0.726, 0.261, 0.975)
P (0.310, 0.303, 0.197)
P (0.274, 0.739, 0.025)
P (0.261, 0.726, 0.475)
P (0.303, 0.310, 0.697)
O (0.906, 0.153, 0.596)
O (0.534, 0.318, 0.659)
O (0.122, 0.298, 0.173)
O (0.318, 0.534, 0.159)
O (0.192, 0.340, 0.851)
O (0.094, 0.847, 0.404)
O (0.340, 0.192, 0.351)
O (0.660, 0.808, 0.649)
O (0.466, 0.682, 0.341)
O (0.224, 0.501, 0.565)
O (0.878, 0.702, 0.827)
O (0.808, 0.660, 0.149)
O (0.193, 0.700, 0.922)
O (0.501, 0.224, 0.065)
O (0.153, 0.906, 0.096)
O (0.300, 0.807, 0.578)
O (0.807, 0.300, 0.078)
O (0.298, 0.122, 0.673)
O (0.702, 0.878, 0.327)
O (0.700, 0.193, 0.422)
O (0.682, 0.466, 0.841)
O (0.776, 0.499, 0.435)
O (0.847, 0.094, 0.904)
O (0.499, 0.776, 0.935)

***

# 2
## Mg10FeO11 (PBE+U)

Data for a relaxed Mg10FeO11 crystal.

Computed properties:
* SG: No. 2

Unit cell a=7.987 b=12.446 c=9.075 alpha=101.70 beta=79.06 gamma=100.56
Sites, in units of the cell vectors:
Mg (0.159, 0.205, 0.863)
Mg (0.910, 0.455, 0.363)
Mg (0.660, 0.705, 0.864)
Mg (0.409, 0.955, 0.364)
Mg (0.500, 0.500, 0.001)
Mg (0.250, 0.750, 0.499)
Mg (0.999, 0.000, 0.000)
Mg (0.749, 0.249, 0.501)
Mg (0.363, 0.181, 0.545)
Mg (0.113, 0.431, 0.045)
Mg (0.863, 0.681, 0.545)
Mg (0.613, 0.931, 0.045)
Mg (0.297, 0.524, 0.319)
Mg (0.046, 0.774, 0.819)
Mg (0.796, 0.024, 0.318)
Mg (0.547, 0.274, 0.818)
Mg (0.317, 0.408, 0.727)
Mg (0.067, 0.659, 0.228)
Mg (0.817, 0.909, 0.728)
Mg (0.567, 0.158, 0.227)
Mg (0.342, 0.296, 0.137)
Mg (0.092, 0.546, 0.637)
Mg (0.842, 0.795, 0.136)
Mg (0.592, 0.045, 0.636)
Mg (0.977, 0.114, 0.593)
Mg (0.728, 0.364, 0.091)
Mg (0.478, 0.614, 0.591)
Mg (0.228, 0.864, 0.092)
Mg (0.181, 0.091, 0.272)
Mg (0.932, 0.341, 0.772)
Mg (0.682, 0.591, 0.271)
Mg (0.431, 0.841, 0.771)
Mg (0.522, 0.387, 0.410)
Mg (0.271, 0.637, 0.909)
Mg (0.021, 0.887, 0.409)
Mg (0.772, 0.137, 0.910)
Mg (0.137, 0.318, 0.453)
Mg (0.887, 0.567, 0.953)
Mg (0.638, 0.818, 0.455)
Mg (0.388, 0.068, 0.955)
Fe (0.955, 0.227, 0.182)
Fe (0.705, 0.477, 0.682)
Fe (0.204, 0.977, 0.682)
Fe (0.455, 0.727, 0.182)
O (0.330, 0.352, 0.932)
O (0.080, 0.603, 0.432)
O (0.829, 0.852, 0.932)
O (0.579, 0.102, 0.432)
O (0.130, 0.379, 0.252)
O (0.880, 0.629, 0.751)
O (0.626, 0.875, 0.251)
O (0.376, 0.126, 0.752)
O (0.530, 0.326, 0.612)
O (0.283, 0.579, 0.112)
O (0.033, 0.829, 0.613)
O (0.779, 0.076, 0.113)
O (0.983, 0.059, 0.799)
O (0.738, 0.307, 0.297)
O (0.488, 0.557, 0.796)
O (0.233, 0.809, 0.299)
O (0.171, 0.148, 0.067)
O (0.921, 0.398, 0.567)
O (0.676, 0.645, 0.065)
O (0.426, 0.896, 0.565)
O (0.148, 0.261, 0.659)
O (0.899, 0.511, 0.159)
O (0.649, 0.761, 0.659)
O (0.398, 0.011, 0.159)
O (0.511, 0.443, 0.205)
O (0.261, 0.694, 0.704)
O (0.010, 0.944, 0.204)
O (0.760, 0.194, 0.705)
O (0.193, 0.035, 0.473)
O (0.943, 0.286, 0.973)
O (0.694, 0.535, 0.472)
O (0.443, 0.784, 0.973)
O (0.966, 0.170, 0.392)
O (0.715, 0.419, 0.891)
O (0.466, 0.669, 0.390)
O (0.216, 0.920, 0.891)
O (0.307, 0.466, 0.524)
O (0.058, 0.716, 0.024)
O (0.808, 0.966, 0.523)
O (0.557, 0.216, 0.024)
O (0.352, 0.239, 0.340)
O (0.102, 0.489, 0.840)
O (0.852, 0.739, 0.340)
O (0.601, 0.988, 0.840)

***

# 3
## Li5Mn17Si2O32 (PBE+U)

Data for a relaxed Li5Mn17Si2O32 crystal.

Computed properties:
* SG: No. 1

Unit cell a=8.634 b=8.429 c=8.349 alpha=90.64 beta=90.05 gamma=90.34
Sites, in units of the cell vectors:
Li (0.000, 0.501, 0.505)
Li (0.492, 0.498, 0.994)
Li (0.498, 0.012, 0.503)
Li (0.756, 0.246, 0.754)
Li (0.002, 0.007, 0.998)
Mn (0.129, 0.874, 0.379)
Mn (0.136, 0.622, 0.116)
Mn (0.248, 0.748, 0.742)
Mn (0.242, 0.248, 0.251)
Mn (0.376, 0.363, 0.624)
Mn (0.365, 0.122, 0.874)
Mn (0.375, 0.626, 0.374)
Mn (0.367, 0.877, 0.126)
Mn (0.627, 0.370, 0.375)
Mn (0.627, 0.126, 0.126)
Mn (0.626, 0.622, 0.627)
Mn (0.626, 0.878, 0.873)
Mn (0.754, 0.746, 0.250)
Mn (0.878, 0.136, 0.382)
Mn (0.875, 0.376, 0.123)
Mn (0.878, 0.878, 0.634)
Mn (0.882, 0.623, 0.869)
Si (0.113, 0.132, 0.637)
Si (0.121, 0.370, 0.864)
O (0.107, 0.126, 0.414)
O (0.130, 0.578, 0.861)
O (0.135, 0.387, 0.085)
O (0.152, 0.633, 0.377)
O (0.108, 0.915, 0.634)
O (0.112, 0.155, 0.853)
O (0.116, 0.345, 0.647)
O (0.145, 0.856, 0.125)
O (0.326, 0.125, 0.637)
O (0.367, 0.646, 0.136)
O (0.354, 0.886, 0.356)
O (0.370, 0.102, 0.110)
O (0.340, 0.356, 0.856)
O (0.391, 0.607, 0.609)
O (0.401, 0.363, 0.393)
O (0.373, 0.890, 0.894)
O (0.622, 0.373, 0.603)
O (0.602, 0.887, 0.120)
O (0.618, 0.109, 0.894)
O (0.655, 0.883, 0.638)
O (0.607, 0.608, 0.386)
O (0.622, 0.359, 0.142)
O (0.645, 0.141, 0.364)
O (0.623, 0.645, 0.855)
O (0.849, 0.390, 0.356)
O (0.880, 0.856, 0.863)
O (0.862, 0.646, 0.636)
O (0.908, 0.386, 0.886)
O (0.883, 0.145, 0.149)
O (0.902, 0.872, 0.397)
O (0.902, 0.113, 0.620)
O (0.900, 0.614, 0.106)

***

# 4
## Li2VF6 (PBE+U)

Data for a relaxed Li2VF6 crystal.

Computed properties:
* SG: No. 1

Unit cell a=8.691 b=8.721 c=10.254 alpha=83.86 beta=96.26 gamma=119.58
Sites, in units of the cell vectors:
Li (0.064, 0.667, 0.930)
Li (0.341, 0.941, 0.432)
Li (0.117, 0.448, 0.456)
Li (0.553, 0.869, 0.958)
Li (0.335, 0.371, 0.975)
Li (0.375, 0.336, 0.525)
Li (0.807, 0.805, 0.748)
Li (0.454, 0.116, 0.046)
Li (0.865, 0.549, 0.547)
Li (0.670, 0.062, 0.574)
Li (0.991, 0.716, 0.274)
Li (0.939, 0.332, 0.077)
V (0.004, 0.001, 0.496)
V (0.333, 0.660, 0.704)
V (0.999, 0.003, 0.999)
V (0.340, 0.665, 0.207)
V (0.661, 0.333, 0.797)
V (0.659, 0.333, 0.293)
F (0.054, 0.918, 0.658)
F (0.060, 0.917, 0.156)
F (0.113, 0.586, 0.604)
F (0.110, 0.582, 0.110)
F (0.267, 0.752, 0.834)
F (0.232, 0.741, 0.328)
F (0.098, 0.236, 0.549)
F (0.421, 0.879, 0.602)
F (0.261, 0.456, 0.806)
F (0.083, 0.238, 0.049)
F (0.414, 0.881, 0.099)
F (0.242, 0.448, 0.307)
F (0.392, 0.561, 0.576)
F (0.239, 0.098, 0.954)
F (0.563, 0.761, 0.796)
F (0.409, 0.586, 0.073)
F (0.241, 0.084, 0.450)
F (0.541, 0.753, 0.304)
F (0.457, 0.261, 0.694)
F (0.779, 0.925, 0.570)
F (0.562, 0.393, 0.924)
F (0.444, 0.244, 0.193)
F (0.774, 0.930, 0.055)
F (0.588, 0.411, 0.428)
F (0.760, 0.562, 0.705)
F (0.587, 0.113, 0.894)
F (0.927, 0.779, 0.927)
F (0.753, 0.548, 0.205)
F (0.585, 0.118, 0.396)
F (0.938, 0.771, 0.435)
F (0.754, 0.270, 0.664)
F (0.731, 0.245, 0.164)
F (0.880, 0.420, 0.898)
F (0.889, 0.427, 0.393)
F (0.928, 0.057, 0.836)
F (0.923, 0.061, 0.343)

***

# 5
## MnV2O10 (PBE+U)

Data for a relaxed MnV2O10 crystal.

Computed properties:
* SG: No. 9

Unit cell a=6.978 b=8.395 c=8.395 alpha=67.67 beta=72.67 gamma=72.67
Sites, in units of the cell vectors:
Mn (0.303, 0.893, 0.365)
Mn (0.803, 0.365, 0.893)
V (0.094, 0.524, 0.456)
V (0.594, 0.456, 0.524)
V (0.973, 0.327, 0.256)
V (0.473, 0.256, 0.327)
O (0.441, 0.048, 0.428)
O (0.941, 0.428, 0.048)
O (0.475, 0.017, 0.954)
O (0.975, 0.954, 0.017)
O (0.126, 0.733, 0.355)
O (0.626, 0.355, 0.733)
O (0.016, 0.898, 0.662)
O (0.516, 0.662, 0.898)
O (0.474, 0.669, 0.501)
O (0.974, 0.501, 0.669)
O (0.360, 0.394, 0.499)
O (0.860, 0.499, 0.394)
O (0.840, 0.884, 0.677)
O (0.340, 0.677, 0.884)
O (0.014, 0.094, 0.905)
O (0.514, 0.905, 0.094)
O (0.208, 0.387, 0.283)
O (0.708, 0.283, 0.387)
O (0.097, 0.115, 0.271)
O (0.597, 0.271, 0.115)

***

# 6
## CaVP2O7 (PBE+U)

Data for a relaxed CaVP2O7 crystal.

Unit cell a=6.665 b=9.183 c=9.526 alpha=96.76 beta=108.57 gamma=77.96
Sites, in units of the cell vectors:
Ca (0.788, 0.656, 0.515)
Ca (0.288, 0.156, 0.015)
Ca (0.212, 0.344, 0.485)
Ca (0.712, 0.844, 0.985)
V (0.314, 0.562, 0.213)
V (0.686, 0.438, 0.787)
V (0.815, 0.062, 0.713)
V (0.185, 0.938, 0.287)
P (0.677, 0.301, 0.447)
P (0.177, 0.801, 0.947)
P (0.323, 0.699, 0.553)
P (0.823, 0.199, 0.053)
P (0.292, 0.022, 0.651)
P (0.792, 0.522, 0.151)
P (0.708, 0.978, 0.349)
P (0.208, 0.478, 0.849)
O (0.233, 0.855, 0.625)
O (0.733, 0.355, 0.125)
O (0.767, 0.145, 0.375)
O (0.267, 0.645, 0.875)
O (0.952, 0.866, 0.848)
O (0.452, 0.367, 0.348)
O (0.048, 0.134, 0.152)
O (0.548, 0.633, 0.652)
O (0.761, 0.919, 0.504)
O (0.261, 0.419, 0.004)
O (0.239, 0.081, 0.496)
O (0.739, 0.581, 0.996)
O (0.860, 0.893, 0.262)
O (0.360, 0.393, 0.762)
O (0.140, 0.107, 0.738)
O (0.640, 0.607, 0.238)
O (0.154, 0.605, 0.535)
O (0.654, 0.105, 0.035)
O (0.846, 0.395, 0.465)
O (0.346, 0.895, 0.965)
O (0.351, 0.731, 0.404)
O (0.851, 0.231, 0.904)
O (0.649, 0.269, 0.596)
O (0.149, 0.769, 0.096)
O (0.470, 0.997, 0.262)
O (0.970, 0.497, 0.762)
O (0.530, 0.003, 0.738)
O (0.030, 0.503, 0.238)

***

# 7
## KMn6P7O24 (PBE+U)

Data for a relaxed KMn6P7O24 crystal.

Computed properties:
* SG: No. 11

Unit cell a=27.118 b=5.444 c=6.662 alpha=72.74 beta=90.00 gamma=90.00
Sites, in units of the cell vectors:
K (0.750, 0.226, 0.375)
K (0.250, 0.774, 0.625)
Mn (0.045, 0.313, 0.686)
Mn (0.545, 0.687, 0.314)
Mn (0.955, 0.687, 0.314)
Mn (0.455, 0.313, 0.686)
Mn (0.098, 0.707, 0.913)
Mn (0.598, 0.293, 0.087)
Mn (0.902, 0.293, 0.087)
Mn (0.402, 0.707, 0.913)
Mn (0.183, 0.379, 0.278)
Mn (0.683, 0.621, 0.722)
Mn (0.817, 0.621, 0.722)
Mn (0.317, 0.379, 0.278)
P (0.168, 0.248, 0.808)
P (0.668, 0.752, 0.192)
P (0.832, 0.752, 0.192)
P (0.332, 0.248, 0.808)
P (0.750, 0.040, 0.908)
P (0.250, 0.960, 0.092)
P (0.024, 0.208, 0.205)
P (0.524, 0.792, 0.795)
P (0.976, 0.792, 0.795)
P (0.476, 0.208, 0.205)
P (0.109, 0.817, 0.381)
P (0.609, 0.183, 0.619)
P (0.891, 0.183, 0.619)
P (0.391, 0.817, 0.381)
O (0.119, 0.108, 0.799)
O (0.619, 0.892, 0.201)
O (0.881, 0.892, 0.201)
O (0.381, 0.108, 0.799)
O (0.166, 0.435, 0.942)
O (0.666, 0.565, 0.058)
O (0.834, 0.565, 0.058)
O (0.334, 0.435, 0.942)
O (0.194, 0.362, 0.600)
O (0.694, 0.638, 0.400)
O (0.806, 0.638, 0.400)
O (0.306, 0.362, 0.600)
O (0.204, 0.004, 0.939)
O (0.704, 0.996, 0.061)
O (0.796, 0.996, 0.061)
O (0.296, 0.004, 0.939)
O (0.750, 0.849, 0.780)
O (0.250, 0.151, 0.220)
O (0.048, 0.369, 0.998)
O (0.750, 0.324, 0.786)
O (0.974, 0.090, 0.175)
O (0.474, 0.910, 0.825)
O (0.026, 0.910, 0.825)
O (0.526, 0.090, 0.175)
O (0.022, 0.355, 0.369)
O (0.522, 0.645, 0.631)
O (0.978, 0.645, 0.631)
O (0.478, 0.355, 0.369)
O (0.352, 0.015, 0.384)
O (0.852, 0.985, 0.616)
O (0.648, 0.985, 0.616)
O (0.148, 0.015, 0.384)
O (0.378, 0.655, 0.233)
O (0.878, 0.345, 0.767)
O (0.622, 0.345, 0.767)
O (0.122, 0.655, 0.233)
O (0.405, 0.642, 0.602)
O (0.905, 0.358, 0.398)
O (0.595, 0.358, 0.398)
O (0.095, 0.642, 0.602)
O (0.443, 0.952, 0.290)
O (0.943, 0.048, 0.710)
O (0.557, 0.048, 0.710)
O (0.057, 0.952, 0.290)
O (0.452, 0.369, 0.998)
O (0.952, 0.631, 0.002)
O (0.548, 0.631, 0.002)
O (0.250, 0.676, 0.214)

***

# 8
## Fe4O3F5 (PBE+U)

Data for a relaxed Fe4O3F5 crystal.

Computed properties:
* SG: No. 1

Unit cell a=4.823 b=6.201 c=9.634 alpha=89.65 beta=87.54 gamma=89.79
Sites, in units of the cell vectors:
Fe (0.016, 0.006, 0.983)
Fe (0.951, 0.488, 0.012)
Fe (0.029, 0.002, 0.487)
Fe (0.990, 0.499, 0.506)
Fe (0.480, 0.261, 0.258)
Fe (0.477, 0.741, 0.255)
Fe (0.537, 0.252, 0.764)
Fe (0.505, 0.750, 0.747)
O (0.808, 0.261, 0.904)
O (0.681, 0.502, 0.160)
O (0.692, 0.503, 0.653)
O (0.325, 0.000, 0.335)
O (0.284, 0.501, 0.356)
O (0.337, 0.996, 0.832)
F (0.797, 0.258, 0.403)
F (0.798, 0.743, 0.404)
F (0.800, 0.735, 0.898)
F (0.703, 0.995, 0.150)
F (0.714, 0.000, 0.644)
F (0.297, 0.505, 0.853)
F (0.197, 0.741, 0.602)
F (0.187, 0.737, 0.092)
F (0.197, 0.261, 0.602)
F (0.201, 0.265, 0.100)

***

How do the records compare in energy? In the order shown, they have -6.720, -6.049, -7.237, -5.339, -6.759, -7.461, -7.507, -5.885 eV/atom.